Material: SiAg8S6
Method: DFT, PBE
State: relaxed

Values from the calculation:
ρ ... 5.83 g/cm³
ΔE_f ... -0.40 eV per atom
Crystal system ... orthorhombic

Cell and atoms, written as CIF:
```
data_SiAg8S6
_chemical_formula_sum 'Si4 Ag32 S24'
_space_group_name_H-M_alt 'P 1'
_space_group_IT_number 1
_cell_length_a 7.590
_cell_length_b 10.690
_cell_length_c 15.213
_cell_angle_alpha 90.00
_cell_angle_beta 90.00
_cell_angle_gamma 90.00
loop_
_space_group_symop_operation_xyz
'x,y,z'
loop_
_atom_site_label
_atom_site_type_symbol
_atom_site_fract_x
_atom_site_fract_y
_atom_site_fract_z
_atom_site_occupancy
Si1 Si 0.263 0.032 0.377 1
Si2 Si 0.737 0.532 0.623 1
Si3 Si 0.237 0.032 0.877 1
Si4 Si 0.763 0.532 0.123 1
Ag1 Ag 0.069 0.359 0.933 1
Ag2 Ag 0.123 0.479 0.761 1
Ag3 Ag 0.877 0.979 0.239 1
Ag4 Ag 0.377 0.479 0.261 1
Ag5 Ag 0.264 0.546 0.064 1
Ag6 Ag 0.736 0.046 0.936 1
Ag7 Ag 0.236 0.546 0.564 1
Ag8 Ag 0.764 0.046 0.436 1
Ag9 Ag 0.379 0.695 0.412 1
Ag10 Ag 0.621 0.195 0.588 1
Ag11 Ag 0.121 0.695 0.912 1
Ag12 Ag 0.879 0.195 0.088 1
Ag13 Ag 0.494 0.790 0.229 1
Ag14 Ag 0.506 0.290 0.771 1
Ag15 Ag 0.006 0.790 0.729 1
Ag16 Ag 0.994 0.290 0.271 1
Ag17 Ag 0.931 0.859 0.067 1
Ag18 Ag 0.623 0.979 0.739 1
Ag19 Ag 0.569 0.859 0.567 1
Ag20 Ag 0.431 0.359 0.433 1
Ag21 Ag 0.116 0.688 0.268 1
Ag22 Ag 0.884 0.188 0.732 1
Ag23 Ag 0.384 0.688 0.768 1
Ag24 Ag 0.616 0.188 0.232 1
Ag25 Ag 0.484 0.770 0.015 1
Ag26 Ag 0.516 0.270 0.985 1
Ag27 Ag 0.016 0.770 0.515 1
Ag28 Ag 0.984 0.270 0.485 1
Ag29 Ag 0.728 0.514 0.371 1
Ag30 Ag 0.272 0.014 0.629 1
Ag31 Ag 0.772 0.514 0.871 1
Ag32 Ag 0.228 0.014 0.129 1
S1 S 0.992 0.412 0.121 1
S2 S 0.008 0.912 0.879 1
S3 S 0.508 0.412 0.621 1
S4 S 0.492 0.912 0.379 1
S5 S 0.769 0.650 0.009 1
S6 S 0.231 0.150 0.991 1
S7 S 0.731 0.650 0.509 1
S8 S 0.269 0.150 0.491 1
S9 S 0.771 0.650 0.237 1
S10 S 0.229 0.150 0.763 1
S11 S 0.729 0.650 0.737 1
S12 S 0.271 0.150 0.263 1
S13 S 0.184 0.513 0.387 1
S14 S 0.816 0.013 0.613 1
S15 S 0.316 0.513 0.887 1
S16 S 0.684 0.013 0.113 1
S17 S 0.233 0.777 0.123 1
S18 S 0.767 0.277 0.877 1
S19 S 0.267 0.777 0.623 1
S20 S 0.733 0.277 0.377 1
S21 S 0.033 0.913 0.374 1
S22 S 0.967 0.413 0.626 1
S23 S 0.467 0.913 0.874 1
S24 S 0.533 0.413 0.126 1
```

---

Material: Si3Ag10S11
Method: DFT, PBE
State: relaxed

Values from the calculation:
ρ ... 5.02 g/cm³
ΔE_f ... -0.52 eV per atom
Crystal system ... triclinic

Cell and atoms, written as CIF:
```
data_Si3Ag10S11
_chemical_formula_sum 'Si6 Ag20 S22'
_space_group_name_H-M_alt 'P 1'
_space_group_IT_number 1
_cell_length_a 6.503
_cell_length_b 12.509
_cell_length_c 13.575
_cell_angle_alpha 69.15
_cell_angle_beta 79.74
_cell_angle_gamma 78.21
loop_
_space_group_symop_operation_xyz
'x,y,z'
loop_
_atom_site_label
_atom_site_type_symbol
_atom_site_fract_x
_atom_site_fract_y
_atom_site_fract_z
_atom_site_occupancy
Si1 Si 0.303 0.825 0.937 1
Si2 Si 0.697 0.175 0.063 1
Si3 Si 0.012 0.789 0.539 1
Si4 Si 0.988 0.211 0.461 1
Si5 Si 0.202 0.488 0.699 1
Si6 Si 0.798 0.512 0.301 1
Ag1 Ag 0.554 0.689 0.471 1
Ag2 Ag 0.446 0.311 0.529 1
Ag3 Ag 0.807 0.028 0.883 1
Ag4 Ag 0.193 0.972 0.117 1
Ag5 Ag 0.483 0.735 0.685 1
Ag6 Ag 0.517 0.265 0.315 1
Ag7 Ag 0.858 0.722 0.822 1
Ag8 Ag 0.142 0.278 0.178 1
Ag9 Ag 0.204 0.637 0.368 1
Ag10 Ag 0.796 0.363 0.632 1
Ag11 Ag 0.773 0.827 0.121 1
Ag12 Ag 0.227 0.173 0.879 1
Ag13 Ag 0.645 0.962 0.659 1
Ag14 Ag 0.355 0.038 0.341 1
Ag15 Ag 0.251 0.598 0.164 1
Ag16 Ag 0.749 0.402 0.836 1
Ag17 Ag 0.853 0.972 0.312 1
Ag18 Ag 0.147 0.028 0.688 1
Ag19 Ag 0.675 0.534 0.038 1
Ag20 Ag 0.325 0.466 0.962 1
S1 S 0.519 0.527 0.665 1
S2 S 0.481 0.473 0.335 1
S3 S 0.040 0.503 0.847 1
S4 S 0.960 0.497 0.153 1
S5 S 0.690 0.863 0.517 1
S6 S 0.310 0.137 0.483 1
S7 S 0.970 0.824 0.942 1
S8 S 0.030 0.176 0.058 1
S9 S 0.384 0.791 0.093 1
S10 S 0.616 0.209 0.907 1
S11 S 0.207 0.839 0.389 1
S12 S 0.793 0.161 0.611 1
S13 S 0.097 0.830 0.663 1
S14 S 0.903 0.170 0.337 1
S15 S 0.397 0.984 0.825 1
S16 S 0.603 0.016 0.175 1
S17 S 0.182 0.323 0.692 1
S18 S 0.818 0.677 0.308 1
S19 S 0.017 0.603 0.573 1
S20 S 0.983 0.397 0.427 1
S21 S 0.477 0.680 0.888 1
S22 S 0.523 0.320 0.112 1
```

---

Material: SmAgS2
Method: DFT, PBE
State: relaxed

Values from the calculation:
ρ ... 5.41 g/cm³
ΔE_f ... -1.56 eV per atom
Crystal system ... monoclinic

Cell and atoms, written as CIF:
```
data_SmAgS2
_chemical_formula_sum 'Sm8 Ag8 S16'
_space_group_name_H-M_alt 'P 1'
_space_group_IT_number 1
_cell_length_a 7.763
_cell_length_b 7.767
_cell_length_c 13.123
_cell_angle_alpha 89.88
_cell_angle_beta 90.00
_cell_angle_gamma 90.00
loop_
_space_group_symop_operation_xyz
'x,y,z'
loop_
_atom_site_label
_atom_site_type_symbol
_atom_site_fract_x
_atom_site_fract_y
_atom_site_fract_z
_atom_site_occupancy
Sm1 Sm 0.505 0.746 0.004 1
Sm2 Sm 0.005 0.254 0.996 1
Sm3 Sm 0.257 0.003 0.753 1
Sm4 Sm 0.757 0.997 0.247 1
Sm5 Sm 0.748 0.503 0.747 1
Sm6 Sm 0.248 0.497 0.253 1
Sm7 Sm 0.003 0.753 0.503 1
Sm8 Sm 0.503 0.247 0.497 1
Ag1 Ag 0.251 0.498 0.799 1
Ag2 Ag 0.751 0.502 0.201 1
Ag3 Ag 0.753 0.997 0.689 1
Ag4 Ag 0.253 0.003 0.311 1
Ag5 Ag 0.002 0.755 0.044 1
Ag6 Ag 0.502 0.245 0.956 1
Ag7 Ag 0.501 0.741 0.541 1
Ag8 Ag 0.001 0.259 0.459 1
S1 S 0.784 0.030 0.463 1
S2 S 0.284 0.970 0.537 1
S3 S 0.228 0.475 0.469 1
S4 S 0.728 0.525 0.531 1
S5 S 0.528 0.722 0.220 1
S6 S 0.028 0.278 0.780 1
S7 S 0.473 0.722 0.789 1
S8 S 0.973 0.278 0.211 1
S9 S 0.977 0.779 0.718 1
S10 S 0.477 0.221 0.282 1
S11 S 0.533 0.222 0.711 1
S12 S 0.033 0.778 0.289 1
S13 S 0.279 0.023 0.969 1
S14 S 0.779 0.977 0.031 1
S15 S 0.723 0.469 0.962 1
S16 S 0.223 0.531 0.038 1
```

---

Material: Sm5AgS8
Method: DFT, PBE
State: relaxed

Values from the calculation:
Maximum piezoelectric response ... 0.417 C/m²
ρ ... 6.05 g/cm³
ΔE_f ... -2.12 eV per atom
Crystal system ... tetragonal

Cell and atoms, written as CIF:
```
data_Sm5AgS8
_chemical_formula_sum 'Sm5 Ag1 S8'
_space_group_name_H-M_alt 'P 1'
_space_group_IT_number 1
_cell_length_a 7.355
_cell_length_b 7.355
_cell_length_c 7.355
_cell_angle_alpha 109.68
_cell_angle_beta 109.68
_cell_angle_gamma 109.05
loop_
_space_group_symop_operation_xyz
'x,y,z'
loop_
_atom_site_label
_atom_site_type_symbol
_atom_site_fract_x
_atom_site_fract_y
_atom_site_fract_z
_atom_site_occupancy
Sm1 Sm 0.633 0.747 0.618 1
Sm2 Sm 0.985 0.367 0.114 1
Sm3 Sm 0.129 0.015 0.382 1
Sm4 Sm 0.500 0.500 0.000 1
Sm5 Sm 0.253 0.871 0.886 1
Ag1 Ag 0.750 0.250 0.500 1
S1 S 0.380 0.271 0.249 1
S2 S 0.358 0.749 0.240 1
S3 S 0.869 0.620 0.891 1
S4 S 0.509 0.118 0.760 1
S5 S 0.251 0.491 0.609 1
S6 S 0.882 0.642 0.391 1
S7 S 0.729 0.978 0.109 1
S8 S 0.022 0.131 0.751 1
```

---

| no. | MP2020-corrected energy (eV/atom) | V (Å³/cell) |
| --- | --- | --- |
| 1 | -3.924 | 1234.39 |
| 2 | -4.279 | 1003.52 |
| 3 | -5.517 | 791.29 |
| 4 | -6.367 | 306.33 |